[1]
Here is crystalline MgNi2Bi4O12 at its relaxed geometry from the Materials Project database. Energies are from GGA+U. Values from VASP.

Geometry as Quantum ESPRESSO input:
```
&SYSTEM
  ibrav = 0, nat = 19, ntyp = 4
/
ATOMIC_SPECIES
Mg 24.30 Mg.upf
Ni 58.69 Ni.upf
Bi 208.98 Bi.upf
O 16.00 O.upf
ATOMIC_POSITIONS angstrom
Mg 0.000 0.000 0.000
Ni 2.338 0.000 1.551
Ni 6.010 0.000 6.233
Bi 1.018 0.000 4.592
Bi 2.310 0.000 7.718
Bi 5.556 0.000 9.469
Bi 5.948 0.000 3.098
O 1.671 1.353 6.128
O 1.708 1.267 2.974
O 5.677 2.157 9.641
O 1.708 -1.267 2.974
O 1.671 -1.353 6.128
O 4.356 0.000 1.469
O 4.483 0.000 7.660
O 4.703 0.000 4.689
O 7.242 0.000 1.399
O 7.204 0.000 8.153
O 7.553 0.000 4.639
O 5.677 -2.157 9.641
CELL_PARAMETERS angstrom
4.320 -3.428 0.000
4.320 3.428 0.000
-0.165 0.000 9.668
```

Output
VASP energy: -5.2871 eV per atom
Formation energy: -1351.8 meV/atom

---

[2]
Here is crystalline MgNi2Bi4O12 at its relaxed geometry from the Materials Project database. Energies are from GGA+U. Values from VASP.

Geometry as Quantum ESPRESSO input:
```
&SYSTEM
  ibrav = 0, nat = 19, ntyp = 4
/
ATOMIC_SPECIES
Mg 24.30 Mg.upf
Ni 58.69 Ni.upf
Bi 208.98 Bi.upf
O 16.00 O.upf
ATOMIC_POSITIONS angstrom
Mg 0.000 0.000 0.000
Ni 0.000 2.573 7.474
Ni 2.573 0.000 2.509
Bi 0.000 2.573 1.045
Bi 0.000 2.573 4.285
Bi 2.573 0.000 5.698
Bi 2.573 0.000 8.938
O 0.891 1.511 9.134
O 0.991 1.584 5.892
O 1.021 1.531 2.624
O 1.511 4.256 0.848
O 1.531 4.126 7.358
O 1.584 4.156 4.091
O 3.563 0.991 4.091
O 3.616 1.021 7.358
O 3.636 0.891 0.848
O 4.126 3.616 2.624
O 4.156 3.563 5.892
O 4.256 3.636 9.134
CELL_PARAMETERS angstrom
5.147 0.000 0.000
0.000 5.147 0.000
0.000 0.000 9.983
```

Output
VASP energy: -5.2624 eV per atom
Formation energy: -1327.2 meV/atom

---

[3]
Here is crystalline MgNi2Bi4O12 at its relaxed geometry from the Materials Project database. Energies are from GGA+U. Values from VASP.

Geometry as Quantum ESPRESSO input:
```
&SYSTEM
  ibrav = 0, nat = 19, ntyp = 4
/
ATOMIC_SPECIES
Mg 24.30 Mg.upf
Ni 58.69 Ni.upf
Bi 208.98 Bi.upf
O 16.00 O.upf
ATOMIC_POSITIONS angstrom
Mg 0.000 0.000 0.000
Ni 1.043 0.000 3.626
Ni 4.470 4.874 0.806
Bi 0.758 3.267 3.866
Bi 0.758 6.481 3.866
Bi 3.592 1.780 1.534
Bi 3.592 7.968 1.534
O 5.036 0.000 2.013
O -0.403 4.874 4.821
O -0.100 1.484 4.556
O -0.100 8.264 4.556
O 1.836 4.874 2.981
O 1.968 1.672 2.875
O 1.968 8.076 2.875
O 3.258 3.366 0.110
O 3.258 6.382 0.110
O 3.381 0.000 0.024
O 4.926 3.368 2.127
O 4.926 6.380 2.127
CELL_PARAMETERS angstrom
5.431 0.000 0.000
0.000 9.748 0.000
-1.044 0.000 5.336
```

Output
VASP energy: -5.2519 eV per atom
Formation energy: -1316.6 meV/atom

---

[4]
Here is crystalline MgNiBiO5 at its relaxed geometry from the Materials Project database. Energies are from GGA+U. Values from VASP.

Geometry as Quantum ESPRESSO input:
```
&SYSTEM
  ibrav = 0, nat = 64, ntyp = 4
/
ATOMIC_SPECIES
Mg 24.30 Mg.upf
Ni 58.69 Ni.upf
Bi 208.98 Bi.upf
O 16.00 O.upf
ATOMIC_POSITIONS angstrom
Mg 0.093 0.919 1.287
Mg 0.093 6.563 6.308
Mg 2.534 8.400 1.287
Mg 2.534 14.044 6.308
Mg 2.720 0.919 3.735
Mg 2.720 6.563 8.756
Mg 5.162 8.400 3.735
Mg 5.162 14.044 8.756
Ni 0.202 8.590 9.064
Ni 0.202 13.855 4.043
Ni 2.426 1.108 9.064
Ni 2.426 6.373 4.043
Ni 2.829 8.590 5.999
Ni 2.829 13.855 0.978
Ni 5.053 1.108 5.999
Ni 5.053 6.373 0.978
Bi 0.053 11.213 6.461
Bi 0.053 11.232 1.440
Bi 2.575 3.731 6.461
Bi 2.575 3.750 1.440
Bi 2.680 11.213 8.602
Bi 2.680 11.232 3.581
Bi 5.202 3.731 8.602
Bi 5.202 3.750 3.581
O 0.765 2.614 6.882
O 0.765 4.867 1.861
O 1.030 9.973 2.979
O 1.030 12.472 8.000
O 1.096 7.624 7.792
O 1.096 14.821 2.770
O 1.294 2.460 0.015
O 1.294 5.022 5.036
O 1.306 7.851 5.167
O 1.306 14.594 0.146
O 1.322 0.369 5.167
O 1.322 7.112 0.146
O 1.333 9.941 0.015
O 1.333 12.503 5.036
O 1.531 0.142 7.792
O 1.531 7.340 2.770
O 1.598 2.492 2.979
O 1.598 4.990 8.000
O 1.862 10.096 6.882
O 1.862 12.349 1.861
O 3.393 2.614 8.181
O 3.393 4.867 3.160
O 3.657 9.973 2.042
O 3.657 12.472 7.063
O 3.724 7.624 7.272
O 3.724 14.821 2.251
O 3.922 2.460 5.006
O 3.922 5.022 10.027
O 3.933 7.851 9.896
O 3.933 14.594 4.875
O 3.949 0.369 9.896
O 3.949 7.112 4.875
O 3.961 9.941 5.006
O 3.961 12.503 10.027
O 4.159 0.142 7.272
O 4.159 7.340 2.251
O 4.225 2.492 2.042
O 4.225 4.990 7.063
O 4.490 10.096 8.181
O 4.490 12.349 3.160
CELL_PARAMETERS angstrom
5.255 0.000 0.000
0.000 14.963 0.000
0.000 0.000 10.042
```

Output
VASP energy: -5.1808 eV per atom
Formation energy: -1426.5 meV/atom

---

[5]
Here is crystalline MgNi2Bi4O12 at its relaxed geometry from the Materials Project database. Energies are from GGA+U. Values from VASP.

Geometry as Quantum ESPRESSO input:
```
&SYSTEM
  ibrav = 0, nat = 19, ntyp = 4
/
ATOMIC_SPECIES
Mg 24.30 Mg.upf
Ni 58.69 Ni.upf
Bi 208.98 Bi.upf
O 16.00 O.upf
ATOMIC_POSITIONS angstrom
Mg 0.000 0.000 0.000
Ni -0.029 4.932 2.586
Ni 2.511 0.003 0.000
Bi -0.029 1.747 2.586
Bi -0.029 8.121 2.586
Bi 2.511 3.289 0.000
Bi 2.511 6.576 0.000
O 1.052 3.335 1.719
O 1.055 0.006 1.662
O 1.058 6.529 1.726
O 1.263 8.402 4.371
O 1.266 1.470 4.367
O 1.378 4.930 4.191
O 3.587 4.930 0.982
O 3.699 1.470 0.806
O 3.702 8.402 0.801
O 3.910 0.006 3.511
O 3.907 6.529 3.447
O 3.912 3.335 3.453
CELL_PARAMETERS angstrom
5.022 0.000 0.000
0.000 9.868 0.000
-0.058 0.000 5.172
```

Output
VASP energy: -5.3000 eV per atom
Formation energy: -1364.8 meV/atom

---

[6]
Here is crystalline MgNiBiO5 at its relaxed geometry from the Materials Project database. Energies are from GGA+U. Values from VASP.

Geometry as Quantum ESPRESSO input:
```
&SYSTEM
  ibrav = 0, nat = 32, ntyp = 4
/
ATOMIC_SPECIES
Mg 24.30 Mg.upf
Ni 58.69 Ni.upf
Bi 208.98 Bi.upf
O 16.00 O.upf
ATOMIC_POSITIONS angstrom
Mg -0.298 0.948 1.315
Mg -1.694 4.283 5.225
Mg 4.262 6.179 2.596
Mg 2.866 9.514 6.507
Ni 1.868 6.443 0.474
Ni 0.471 9.250 4.384
Ni 2.097 1.212 3.437
Ni 0.700 4.019 7.348
Bi 0.184 1.096 6.588
Bi 1.581 4.135 2.678
Bi 0.988 6.327 5.144
Bi 2.384 9.366 1.233
O 0.547 5.577 1.445
O -0.850 10.116 5.355
O -0.232 7.531 3.875
O -1.628 8.162 7.786
O 1.335 0.439 0.049
O -0.062 4.792 3.960
O 0.825 2.189 2.408
O -0.572 3.042 6.319
O -0.505 5.689 6.592
O 0.892 10.004 2.681
O 1.676 0.458 5.140
O 3.073 4.773 1.230
O 3.140 7.420 1.502
O 1.743 8.273 5.413
O 2.630 5.670 3.862
O 1.233 10.023 7.772
O 4.196 2.300 0.035
O 2.800 2.931 3.946
O 3.418 0.346 2.466
O 2.021 4.885 6.377
CELL_PARAMETERS angstrom
5.362 0.000 0.000
0.000 10.462 0.000
-2.794 0.000 7.821
```

Output
VASP energy: -5.2966 eV per atom
Formation energy: -1542.3 meV/atom

---

[7]
Here is crystalline MgNiBiP2O9 at its relaxed geometry from the Materials Project database. Energies are from GGA+U. Values from VASP.

Geometry as Quantum ESPRESSO input:
```
&SYSTEM
  ibrav = 0, nat = 56, ntyp = 5
/
ATOMIC_SPECIES
Mg 24.30 Mg.upf
Ni 58.69 Ni.upf
Bi 208.98 Bi.upf
P 30.97 P.upf
O 16.00 O.upf
ATOMIC_POSITIONS angstrom
Mg 2.870 1.654 0.335
Mg 4.238 4.963 4.208
Mg 9.977 1.654 3.538
Mg 11.345 4.963 7.411
Ni 0.000 0.000 0.000
Ni 0.000 3.308 0.000
Ni 7.107 0.000 3.873
Ni 7.107 3.308 3.873
Bi 1.662 1.654 4.906
Bi 5.446 4.963 1.033
Bi 8.769 1.654 6.713
Bi 12.553 4.963 2.840
P 1.341 4.963 5.105
P 2.518 4.963 1.100
P 4.589 1.654 4.974
P 5.766 1.654 1.232
P 8.449 4.963 6.514
P 9.626 4.963 2.773
P 11.697 1.654 6.646
P 12.874 1.654 2.641
O 0.404 4.963 3.885
O 0.574 4.963 6.428
O 1.020 1.654 7.001
O 1.717 3.628 1.050
O 1.717 6.297 1.050
O 2.366 3.797 4.983
O 2.366 6.128 4.983
O 3.429 4.963 2.366
O 3.520 4.963 7.615
O 3.588 1.654 3.742
O 3.679 1.654 6.239
O 4.741 0.488 1.110
O 4.741 2.820 1.110
O 5.391 0.320 4.923
O 5.391 2.988 4.923
O 6.087 4.963 3.128
O 6.533 1.654 2.555
O 6.703 1.654 0.012
O 7.512 4.963 7.735
O 7.682 4.963 5.191
O 8.128 1.654 4.618
O 8.824 3.628 2.823
O 8.824 6.297 2.823
O 9.474 3.797 6.637
O 9.474 6.128 6.637
O 10.536 4.963 1.507
O 10.627 4.963 4.005
O 10.695 1.654 0.131
O 10.786 1.654 5.380
O 11.849 0.488 2.763
O 11.849 2.820 2.763
O 12.498 0.320 6.696
O 12.498 2.988 6.696
O 13.195 4.963 0.745
O 13.641 1.654 1.318
O 13.811 1.654 3.862
CELL_PARAMETERS angstrom
14.215 0.000 0.000
0.000 6.617 0.000
0.000 0.000 7.746
```

Output
VASP energy: -6.4032 eV per atom
Formation energy: -2267.2 meV/atom

---

[8]
Here is crystalline MgV2Bi2Pb2O10 at its relaxed geometry from the Materials Project database. Energies are from GGA+U. Values from VASP.

Geometry as Quantum ESPRESSO input:
```
&SYSTEM
  ibrav = 0, nat = 17, ntyp = 5
/
ATOMIC_SPECIES
Mg 24.30 Mg.upf
V 50.94 V.upf
Bi 208.98 Bi.upf
Pb 207.20 Pb.upf
O 16.00 O.upf
ATOMIC_POSITIONS angstrom
Mg 0.000 0.000 0.000
V 5.991 7.794 7.362
V 5.989 2.119 1.781
Bi 2.974 4.492 2.752
Bi 2.979 5.284 6.232
Pb 5.964 6.862 3.482
Pb 5.978 3.338 4.741
O 2.959 6.663 1.989
O 1.417 2.631 2.836
O 4.359 7.175 6.768
O 3.028 3.045 6.691
O 4.358 5.058 4.425
O 5.964 5.494 1.679
O 4.557 2.642 2.821
O 6.020 2.047 0.007
O 7.625 7.175 6.779
O 7.601 5.054 4.430
CELL_PARAMETERS angstrom
6.004 0.000 0.000
2.974 6.410 0.000
0.019 2.008 7.474
```

Output
VASP energy: -6.2750 eV per atom
Formation energy: -1911.3 meV/atom

---

[9]
Here is crystalline MgV2Bi2Pb2O10 at its relaxed geometry from the Materials Project database. Energies are from GGA+U. Values from VASP.

Geometry as Quantum ESPRESSO input:
```
&SYSTEM
  ibrav = 0, nat = 17, ntyp = 5
/
ATOMIC_SPECIES
Mg 24.30 Mg.upf
V 50.94 V.upf
Bi 208.98 Bi.upf
Pb 207.20 Pb.upf
O 16.00 O.upf
ATOMIC_POSITIONS angstrom
Mg 0.000 0.000 0.000
V 6.622 8.179 7.235
V 6.505 2.228 1.659
Bi 3.311 5.338 6.115
Bi 3.651 4.787 2.567
Pb 6.549 7.032 3.439
Pb 6.305 3.531 4.724
O 1.895 2.762 2.422
O 5.033 7.347 7.063
O 4.161 3.236 6.265
O 4.837 5.308 4.362
O 5.474 6.007 1.659
O 5.084 2.934 2.673
O 8.231 7.557 6.676
O 7.552 4.173 7.265
O 8.496 6.880 1.986
O 8.096 5.146 4.350
CELL_PARAMETERS angstrom
6.060 0.000 0.000
2.379 6.491 0.000
1.235 2.152 7.436
```

Output
VASP energy: -6.2668 eV per atom
Formation energy: -1903.1 meV/atom

---

[10]
Here is crystalline MgV2Bi2Pb2O10 at its relaxed geometry from the Materials Project database. Energies are from GGA+U. Values from VASP.

Geometry as Quantum ESPRESSO input:
```
&SYSTEM
  ibrav = 0, nat = 17, ntyp = 5
/
ATOMIC_SPECIES
Mg 24.30 Mg.upf
V 50.94 V.upf
Bi 208.98 Bi.upf
Pb 207.20 Pb.upf
O 16.00 O.upf
ATOMIC_POSITIONS angstrom
Mg 0.000 0.000 0.000
V 2.761 0.000 2.174
V 5.692 0.000 4.994
Bi -1.503 0.000 2.968
Bi 9.956 0.000 4.200
Pb -0.432 0.000 6.805
Pb 8.885 0.000 0.363
O 2.196 1.548 2.923
O 2.080 0.000 0.605
O 7.147 1.302 0.000
O 4.455 0.000 1.990
O 6.256 1.548 4.245
O 2.196 -1.548 2.923
O 3.998 0.000 5.178
O 7.147 -1.302 0.000
O 6.372 0.000 6.564
O 6.256 -1.548 4.245
CELL_PARAMETERS angstrom
7.147 -3.159 0.000
7.147 3.159 0.000
-5.842 0.000 7.168
```

Output
VASP energy: -6.2583 eV per atom
Formation energy: -1894.6 meV/atom

---

[11]
Here is crystalline MgV2Bi2Pb2O10 at its relaxed geometry from the Materials Project database. Energies are from GGA+U. Values from VASP.

Geometry as Quantum ESPRESSO input:
```
&SYSTEM
  ibrav = 0, nat = 17, ntyp = 5
/
ATOMIC_SPECIES
Mg 24.30 Mg.upf
V 50.94 V.upf
Bi 208.98 Bi.upf
Pb 207.20 Pb.upf
O 16.00 O.upf
ATOMIC_POSITIONS angstrom
Mg 0.000 0.000 0.000
V 2.274 -1.024 1.087
V 9.356 -1.024 5.755
Bi 6.116 -0.097 1.689
Bi 5.515 -0.097 5.154
Pb 0.655 -0.089 3.839
Pb 10.976 -0.089 3.003
O 1.161 0.434 1.535
O 5.491 1.892 0.648
O 3.052 0.772 4.742
O 6.140 1.892 6.194
O 5.815 1.169 3.421
O 4.045 -0.841 1.268
O 8.579 0.772 2.101
O 5.815 -1.606 3.421
O 10.470 0.434 5.307
O 7.585 -0.841 5.574
CELL_PARAMETERS angstrom
6.988 -3.058 0.000
6.988 3.058 0.000
-2.346 0.000 6.842
```

Output
VASP energy: -6.2358 eV per atom
Formation energy: -1872.1 meV/atom

---

[12]
Here is crystalline MgV2Bi2Pb2O10 at its relaxed geometry from the Materials Project database. Energies are from GGA+U. Values from VASP.

Geometry as Quantum ESPRESSO input:
```
&SYSTEM
  ibrav = 0, nat = 17, ntyp = 5
/
ATOMIC_SPECIES
Mg 24.30 Mg.upf
V 50.94 V.upf
Bi 208.98 Bi.upf
Pb 207.20 Pb.upf
O 16.00 O.upf
ATOMIC_POSITIONS angstrom
Mg 0.000 0.000 0.000
V -0.480 -0.370 5.340
V 3.111 2.721 3.542
Bi -0.478 3.534 6.062
Bi 0.771 5.513 2.589
Pb 0.351 1.389 2.686
Pb 3.586 3.490 0.326
O -1.484 3.103 2.493
O -0.901 5.555 0.712
O -0.098 1.420 5.056
O 0.752 -1.216 6.411
O 1.628 3.344 2.593
O 2.657 0.938 3.261
O 1.871 5.908 0.759
O 4.076 -0.931 6.322
O 3.099 3.076 5.299
O 5.253 -0.924 3.645
CELL_PARAMETERS angstrom
5.999 0.000 0.000
-2.476 6.745 0.000
-0.840 -2.633 6.977
```

Output
VASP energy: -6.3432 eV per atom
Formation energy: -1979.5 meV/atom

---

[13]
Here is crystalline MgV2Bi2O8 at its relaxed geometry from the Materials Project database. Energies are from GGA+U. Values from VASP.

Geometry as Quantum ESPRESSO input:
```
&SYSTEM
  ibrav = 0, nat = 13, ntyp = 4
/
ATOMIC_SPECIES
Mg 24.30 Mg.upf
V 50.94 V.upf
Bi 208.98 Bi.upf
O 16.00 O.upf
ATOMIC_POSITIONS angstrom
Mg 0.000 0.000 0.000
V 3.308 2.563 0.000
V 1.658 -5.311 2.754
Bi 1.658 0.262 2.754
Bi 3.308 -2.101 0.000
O 2.131 1.721 1.031
O -0.436 -0.735 3.818
O 1.141 -1.490 0.727
O 1.185 1.721 4.477
O 3.753 -0.735 1.690
O 0.468 -4.456 3.849
O 2.176 -1.490 4.781
O 2.849 -4.456 1.659
CELL_PARAMETERS angstrom
3.308 -5.405 0.000
3.308 5.405 0.000
-3.300 0.000 5.508
```

Output
VASP energy: -6.6282 eV per atom
Formation energy: -2148.5 meV/atom